<a>
# MgPb2

An optimized crystal structure of MgPb2 (meta-GGA r2SCAN, Materials Project).

Cell: 6.551 5.001 10.173 Å, 90.00 90.00 90.00°
Space group Pnma (No. 62)
Asymmetric unit:
Mg1 0.150 0.250 0.096 (multiplicity 4)
Pb1 0.094 0.250 0.773 (multiplicity 4)
Pb2 0.159 0.250 0.433 (multiplicity 4)

Total moment: 0.000 μB/atom

=====

<b>
# MgPb2

An optimized crystal structure of MgPb2 (meta-GGA r2SCAN, Materials Project).

Cell: 13.783 4.951 4.901 Å, 90.00 90.00 90.00°
Space group Cmcm (No. 63)
Asymmetric unit:
Mg1 0.000 0.242 0.250 (multiplicity 4)
Pb1 0.150 0.258 0.750 (multiplicity 8)

Total moment: 0.000 μB/atom

=====

Winner for stability: <b>

=====

<a>
# MgCd3

An optimized crystal structure of MgCd3 (meta-GGA r2SCAN, Materials Project).

Cell: 3.229 4.970 5.304 Å, 90.00 90.00 90.00°
Space group Pmm2 (No. 25)
Asymmetric unit:
Mg1 0.000 0.000 0.000 (multiplicity 1)
Cd1 0.000 0.500 0.669 (multiplicity 1)
Cd2 0.500 0.000 0.495 (multiplicity 1)
Cd3 0.500 0.500 0.163 (multiplicity 1)

Total moment: 0.000 μB/atom

=====

<b>
# MgCd3

An optimized crystal structure of MgCd3 (meta-GGA r2SCAN, Materials Project).

Cell: 6.3317 6.3317 4.8545 Å, 90.00 90.00 120.00°
Space group P6_3/mmc (No. 194)
Asymmetric unit:
Mg1 0.3333 0.6667 0.2500 (multiplicity 2)
Cd1 0.1670 0.3340 0.7500 (multiplicity 6)

Total moment: 0.000 μB/atom

=====

Winner for stability: <b>

=====

<a>
# Al

An optimized crystal structure of Al (meta-GGA r2SCAN, Materials Project).

Cell: 4.039 4.039 4.039 Å, 90.00 90.00 90.00°
Space group Fm-3m (No. 225)
Asymmetric unit:
Al1 0.000 0.000 0.000 (multiplicity 4)

Total moment: 0.000 μB/atom

=====

<b>
# Al

An optimized crystal structure of Al (meta-GGA r2SCAN, Materials Project).

Cell: 3.182 3.182 3.182 Å, 90.00 90.00 90.00°
Space group Im-3m (No. 229)
Asymmetric unit:
Al1 0.000 0.000 0.000 (multiplicity 2)

Total moment: 0.000 μB/atom

=====

Winner for stability: <a>

=====

<a>
# PmSm3

An optimized crystal structure of PmSm3 (meta-GGA r2SCAN, Materials Project).

Cell: 5.140 5.140 5.140 Å, 90.00 90.00 90.00°
Space group Pm-3m (No. 221)
Asymmetric unit:
Pm1 0.000 0.000 0.000 (multiplicity 1)
Sm1 0.000 0.500 0.500 (multiplicity 3)

Total moment: 0.000 μB/atom

=====

<b>
# PmSm3

An optimized crystal structure of PmSm3 (meta-GGA r2SCAN, Materials Project).

Cell: 5.144 5.144 10.290 Å, 90.00 90.00 90.00°
Space group I4/mmm (No. 139)
Asymmetric unit:
Pm1 0.000 0.000 0.000 (multiplicity 2)
Sm1 0.000 0.000 0.500 (multiplicity 2)
Sm2 0.000 0.500 0.250 (multiplicity 4)

Total moment: 0.000 μB/atom

=====

Winner for stability: <b>

=====

<a>
# LiAgF4

An optimized crystal structure of LiAgF4 (meta-GGA r2SCAN, Materials Project).

Cell: 5.675 5.058 6.197 Å, 90.00 120.05 90.00°
Space group P2_1/c (No. 14)
Asymmetric unit:
Li1 0.000 0.000 0.000 (multiplicity 2)
Ag1 0.500 0.000 0.500 (multiplicity 2)
F1 0.159 0.196 0.351 (multiplicity 4)
F2 0.342 0.672 0.678 (multiplicity 4)

Total moment: 0.000 μB/atom

=====

<b>
# LiAgF4

An optimized crystal structure of LiAgF4 (meta-GGA r2SCAN, Materials Project).

Cell: 4.702 11.096 5.424 Å, 90.00 90.00 90.00°
Space group Pbcn (No. 60)
Asymmetric unit:
Li1 0.000 0.066 0.250 (multiplicity 4)
Ag1 0.000 0.335 0.250 (multiplicity 4)
F1 0.227 0.204 0.121 (multiplicity 8)
F2 0.246 0.048 0.593 (multiplicity 8)

Total moment: 0.000 μB/atom

=====

Winner for stability: <b>